{
  "formula": "Ni5O11",
  "functional": "GGA+U",
  "state": "optimized geometry",
  "lattice": [[-1.306, 3.376, -3.316], [-2.078, -6.811, -2.441], [-4.079, 3.805, 3.006]],
  "species": ["Ni", "Ni", "Ni", "Ni", "Ni", "O", "O", "O", "O", "O", "O", "O", "O", "O", "O", "O"],
  "frac_coords": [[0.804, 0.602, 0.007], [0.602, 0.202, 0.996], [0.400, 0.800, 0.000], [0.198, 0.398, 0.004], [0.996, 0.998, 0.993], [0.156, 0.527, 0.832], [0.956, 0.130, 0.819], [0.756, 0.723, 0.827], [0.558, 0.334, 0.829], [0.355, 0.937, 0.808], [0.242, 0.266, 0.171], [0.044, 0.877, 0.173], [0.844, 0.470, 0.181], [0.644, 0.073, 0.168], [0.445, 0.663, 0.192], [0.400, 0.800, 0.500]],
  "m_tot_mub_per_atom": 0.0001,
  "sg": "P-1 (2)",
  "rho_g_cm3": 4.15,
  "formation_energy_ev_per_atom": -0.557
}


{
  "formula": "FeO2F",
  "functional": "GGA+U",
  "state": "optimized geometry",
  "lattice": [[2.444, 4.396, 0.000], [-2.444, 4.396, 0.000], [0.000, 2.223, 4.331]],
  "species": ["Fe", "Fe", "O", "O", "O", "O", "F", "F"],
  "frac_coords": [[0.500, 0.000, 0.500], [0.000, 0.500, 0.000], [0.365, 0.059, 0.126], [0.941, 0.635, 0.374], [0.059, 0.365, 0.626], [0.635, 0.941, 0.874], [0.297, 0.703, 0.750], [0.703, 0.297, 0.250]],
  "m_tot_mub_per_atom": 1.2500,
  "sg": "C2/c (15)",
  "rho_g_cm3": 3.81,
  "formation_energy_ev_per_atom": -1.257
}


{
  "formula": "NaNiO2",
  "functional": "GGA+U",
  "state": "optimized geometry",
  "lattice": [[-0.098, -1.408, -2.614], [-1.083, -1.309, 2.521], [-9.768, 4.065, -1.580]],
  "species": ["Na", "Na", "Ni", "Ni", "O", "O", "O", "O"],
  "frac_coords": [[0.674, 0.336, 0.250], [0.326, 0.663, 0.750], [0.000, 0.000, 0.500], [0.000, 0.000, 0.000], [0.357, 0.655, 0.402], [0.644, 0.346, 0.598], [0.644, 0.299, 0.902], [0.355, 0.700, 0.098]],
  "m_tot_mub_per_atom": 0.2500,
  "sg": "P-1 (2)",
  "rho_g_cm3": 4.56,
  "formation_energy_ev_per_atom": -1.316
}


{
  "formula": "Mn5P4H10O20",
  "functional": "GGA+U",
  "state": "optimized geometry",
  "lattice": [[4.628, 8.926, 0.000], [-4.628, 8.926, 0.000], [0.000, 1.067, 9.555]],
  "species": ["Mn", "Mn", "Mn", "Mn", "Mn", "Mn", "Mn", "Mn", "Mn", "Mn", "P", "P", "P", "P", "P", "P", "P", "P", "H", "H", "H", "H", "H", "H", "H", "H", "H", "H", "H", "H", "H", "H", "H", "H", "H", "H", "H", "H", "O", "O", "O", "O", "O", "O", "O", "O", "O", "O", "O", "O", "O", "O", "O", "O", "O", "O", "O", "O", "O", "O", "O", "O", "O", "O", "O", "O", "O", "O", "O", "O", "O", "O", "O", "O", "O", "O", "O", "O"],
  "frac_coords": [[0.397, 0.603, 0.750], [0.603, 0.397, 0.250], [0.703, 0.647, 0.635], [0.353, 0.297, 0.865], [0.297, 0.353, 0.365], [0.647, 0.703, 0.135], [0.273, 0.092, 0.185], [0.908, 0.727, 0.315], [0.727, 0.908, 0.815], [0.092, 0.273, 0.685], [0.762, 0.406, 0.910], [0.594, 0.238, 0.590], [0.238, 0.594, 0.090], [0.406, 0.762, 0.410], [0.921, 0.400, 0.371], [0.600, 0.079, 0.129], [0.079, 0.600, 0.629], [0.400, 0.921, 0.871], [0.587, 0.883, 0.412], [0.117, 0.413, 0.088], [0.413, 0.117, 0.588], [0.883, 0.587, 0.912], [0.665, 0.927, 0.522], [0.073, 0.335, 0.978], [0.335, 0.073, 0.478], [0.927, 0.665, 0.022], [0.976, 0.161, 0.220], [0.839, 0.024, 0.280], [0.024, 0.839, 0.780], [0.161, 0.976, 0.720], [0.076, 0.990, 0.138], [0.010, 0.924, 0.362], [0.924, 0.010, 0.862], [0.990, 0.076, 0.638], [0.750, 0.205, 0.008], [0.795, 0.250, 0.492], [0.250, 0.795, 0.992], [0.205, 0.750, 0.508], [0.645, 0.511, 0.793], [0.489, 0.355, 0.707], [0.355, 0.489, 0.207], [0.511, 0.645, 0.293], [0.691, 0.478, 0.055], [0.522, 0.309, 0.445], [0.309, 0.522, 0.945], [0.478, 0.691, 0.555], [0.925, 0.388, 0.868], [0.612, 0.075, 0.632], [0.075, 0.612, 0.132], [0.388, 0.925, 0.368], [0.798, 0.229, 0.919], [0.771, 0.202, 0.581], [0.202, 0.771, 0.081], [0.229, 0.798, 0.419], [0.900, 0.428, 0.532], [0.572, 0.100, 0.968], [0.100, 0.572, 0.468], [0.428, 0.900, 0.032], [0.105, 0.298, 0.325], [0.702, 0.895, 0.175], [0.895, 0.702, 0.675], [0.298, 0.105, 0.825], [0.842, 0.310, 0.342], [0.690, 0.158, 0.158], [0.158, 0.690, 0.658], [0.310, 0.842, 0.842], [0.835, 0.568, 0.289], [0.432, 0.165, 0.211], [0.165, 0.432, 0.711], [0.568, 0.835, 0.789], [0.681, 0.836, 0.471], [0.164, 0.319, 0.029], [0.319, 0.164, 0.529], [0.836, 0.681, 0.971], [0.066, 0.091, 0.151], [0.909, 0.934, 0.349], [0.934, 0.909, 0.849], [0.091, 0.066, 0.651]],
  "m_tot_mub_per_atom": 0.6411,
  "sg": "C2/c (15)",
  "rho_g_cm3": 3.07,
  "formation_energy_ev_per_atom": -2.069
}


Number 3 is which compound? NaNiO2